Entry 1
Density functional theory data (PBE+U) for a relaxed VP4O12 crystal.

The structure in POSCAR format:
```
VP4O12
1.0
0.2782 -7.2789 -1.3221
6.8095 -2.8142 0.7204
1.0010 -5.2895 8.3612
V P O
2 8 24
Direct
0.5000 0.0000 0.0000
0.0000 0.5000 0.5000
0.7527 0.2583 0.4671
0.7417 0.2473 0.0329
0.6949 0.6620 0.8115
0.2583 0.7527 0.9671
0.2473 0.7417 0.5329
0.3380 0.3051 0.6885
0.6620 0.6949 0.3115
0.3051 0.3380 0.1885
0.6607 0.4674 0.3449
0.1949 0.3438 0.3493
0.8051 0.6562 0.6507
0.8257 0.3362 0.5574
0.3362 0.8257 0.0574
0.4674 0.6607 0.8449
0.3101 0.1574 0.1488
0.2039 0.5444 0.0791
0.5444 0.2039 0.5791
0.0964 0.8860 0.8957
0.3393 0.5326 0.6551
0.3438 0.1949 0.8493
0.8426 0.6899 0.3512
0.1140 0.9036 0.6043
0.8860 0.0964 0.3957
0.6638 0.1743 0.9426
0.6562 0.8051 0.1507
0.1743 0.6638 0.4426
0.9036 0.1140 0.1043
0.4556 0.7961 0.4209
0.7961 0.4556 0.9209
0.6899 0.8426 0.8512
0.5326 0.3393 0.1551
0.1574 0.3101 0.6488
```

Entry 2
Density functional theory data (PBE+U) for a relaxed VP4O12 crystal.

The structure in POSCAR format:
```
VP4O12
1.0
-1.8892 -4.8577 4.9339
1.2112 2.6958 6.5403
-8.5299 2.4353 5.0120
V P O
2 8 24
Direct
0.0528 0.9472 0.2500
0.9472 0.0528 0.7500
0.2644 0.7538 0.5185
0.2462 0.7356 0.9815
0.2815 0.3150 0.1956
0.3150 0.2815 0.6956
0.6850 0.7185 0.3044
0.7185 0.6850 0.8044
0.7538 0.2644 0.0185
0.7356 0.2462 0.4815
0.1473 0.9106 0.5999
0.2819 0.5316 0.6398
0.0894 0.8527 0.9001
0.1956 0.7502 0.3981
0.3559 0.1929 0.8391
0.1271 0.2340 0.6852
0.2340 0.1271 0.1852
0.2179 0.5003 0.0552
0.1929 0.3559 0.3391
0.2498 0.8044 0.1019
0.4684 0.7181 0.8602
0.4997 0.7821 0.4448
0.5003 0.2179 0.5552
0.5316 0.2819 0.1398
0.7502 0.1956 0.8981
0.8071 0.6441 0.6609
0.7821 0.4997 0.9448
0.7660 0.8729 0.8148
0.8729 0.7660 0.3148
0.6441 0.8071 0.1609
0.8044 0.2498 0.6019
0.9106 0.1473 0.0999
0.7181 0.4684 0.3602
0.8527 0.0894 0.4001
```

Stability verdict: entry 2, ahead by 11 meV per atom

Entry 1
Density functional theory data (PBE+U) for a relaxed VP5O15 crystal.

The structure in POSCAR format:
```
VP5O15
1.0
13.7977 0.0000 0.0000
0.0000 5.1854 0.0000
0.0000 1.6742 8.6712
V P O
2 10 30
Direct
0.0000 0.5000 0.5000
0.5000 0.5000 0.5000
0.8588 0.0121 0.4776
0.6412 0.0121 0.4776
0.9206 0.3479 0.1808
0.5794 0.3479 0.1808
0.2500 0.4576 0.0124
0.7500 0.5424 0.9876
0.4206 0.6521 0.8192
0.0794 0.6521 0.8192
0.3588 0.9879 0.5224
0.1412 0.9879 0.5224
0.7500 0.0429 0.5312
0.8574 0.1202 0.2984
0.6426 0.1202 0.2984
0.9821 0.2270 0.0797
0.5179 0.2270 0.0797
0.2500 0.2041 0.1257
0.9206 0.1878 0.5583
0.5794 0.1878 0.5583
0.3844 0.2762 0.4875
0.1156 0.2762 0.4875
0.9714 0.4970 0.2986
0.5286 0.4970 0.2986
0.8381 0.5468 0.1131
0.6619 0.5468 0.1131
0.7500 0.2969 0.9224
0.2500 0.7031 0.0776
0.3381 0.4532 0.8869
0.1619 0.4532 0.8869
0.4714 0.5030 0.7014
0.0286 0.5030 0.7014
0.8844 0.7238 0.5125
0.6156 0.7238 0.5125
0.4206 0.8122 0.4417
0.0794 0.8122 0.4417
0.7500 0.7959 0.8743
0.4821 0.7730 0.9203
0.0179 0.7730 0.9203
0.3574 0.8798 0.7016
0.1426 0.8798 0.7016
0.2500 0.9571 0.4688
```

Entry 2
Density functional theory data (PBE+U) for a relaxed VP5O15 crystal.

The structure in POSCAR format:
```
VP5O15
1.0
-2.1751 8.4609 8.9049
-9.2981 -2.7417 0.3338
1.2421 -3.8025 3.3666
V P O
2 10 30
Direct
0.4950 0.9949 0.5041
0.9950 0.0051 0.0041
0.0833 0.1830 0.5027
0.1441 0.4775 0.6158
0.2449 0.0165 0.2571
0.3613 0.4735 0.8808
0.4096 0.1765 0.0075
0.5833 0.8170 0.0027
0.6441 0.5225 0.1158
0.7449 0.9835 0.7571
0.8613 0.5265 0.3808
0.9096 0.8235 0.5075
0.0051 0.1354 0.2827
0.0518 0.1493 0.7680
0.0681 0.5123 0.8143
0.1033 0.3394 0.4550
0.1640 0.5924 0.4346
0.1498 0.9437 0.1230
0.2002 0.1157 0.4727
0.2521 0.4082 0.7476
0.2903 0.1213 0.0510
0.3389 0.9384 0.3839
0.3438 0.5901 0.0601
0.3985 0.3351 0.0452
0.4363 0.1359 0.7416
0.4385 0.5038 0.6826
0.4876 0.1255 0.2253
0.5051 0.8646 0.7827
0.5518 0.8507 0.2680
0.5681 0.4877 0.3143
0.6033 0.6606 0.9550
0.6640 0.4076 0.9346
0.6498 0.0563 0.6230
0.7002 0.8843 0.9727
0.7521 0.5918 0.2476
0.7903 0.8787 0.5510
0.8389 0.0616 0.8839
0.8438 0.4099 0.5601
0.8985 0.6649 0.5452
0.9363 0.8641 0.2416
0.9385 0.4962 0.1826
0.9876 0.8745 0.7253
```

Stability verdict: entry 1, ahead by 32 meV per atom

Entry 1
Density functional theory data (PBE+U) for a relaxed V3P4O14 crystal.

The structure in POSCAR format:
```
V3P4O14
1.0
8.0347 0.0000 0.0000
0.0000 7.2373 0.0000
0.0000 3.3365 8.9772
V P O
6 8 28
Direct
0.6292 0.1894 0.4734
0.8708 0.1894 0.9734
0.1292 0.8106 0.0266
0.5000 0.0000 0.0000
0.3708 0.8106 0.5266
0.0000 0.0000 0.5000
0.7094 0.8815 0.3042
0.0509 0.5993 0.7926
0.4491 0.5993 0.2926
0.5509 0.4007 0.7074
0.9491 0.4007 0.2074
0.2906 0.1185 0.6958
0.7906 0.8815 0.8042
0.2094 0.1185 0.1958
0.6144 0.2713 0.8645
0.7105 0.9982 0.1336
0.0789 0.0362 0.1108
0.3767 0.1389 0.1227
0.7895 0.9982 0.6336
0.4211 0.0362 0.6108
0.2895 0.0018 0.8664
0.9211 0.9638 0.8892
0.6233 0.8611 0.8773
0.2105 0.0018 0.3664
0.5789 0.9638 0.3892
0.8623 0.6731 0.8113
0.1603 0.6326 0.9116
0.8767 0.8611 0.3773
0.1144 0.7287 0.6355
0.5220 0.6172 0.6825
0.6377 0.6731 0.3113
0.8397 0.3674 0.0884
0.3856 0.7287 0.1355
0.0220 0.3828 0.8175
0.9780 0.6172 0.1825
0.1377 0.3269 0.1887
0.6603 0.3674 0.5884
0.3623 0.3269 0.6887
0.4780 0.3828 0.3175
0.8856 0.2713 0.3645
0.1233 0.1389 0.6227
0.3397 0.6326 0.4116
```

Entry 2
Density functional theory data (PBE+U) for a relaxed V3P4O14 crystal.

The structure in POSCAR format:
```
V3P4O14
1.0
-4.3194 -1.9142 2.3396
1.9723 -2.8584 5.6145
-2.5882 12.0514 9.7263
V P O
6 8 28
Direct
0.1637 0.2846 0.5817
0.0373 0.6170 0.8286
0.2526 0.9649 0.3235
0.7474 0.0351 0.6765
0.9627 0.3830 0.1714
0.8363 0.7154 0.4183
0.1742 0.1031 0.7913
0.3914 0.4324 0.3176
0.5680 0.2390 0.0676
0.2745 0.7857 0.5392
0.7255 0.2143 0.4608
0.4320 0.7610 0.9324
0.6086 0.5676 0.6824
0.8258 0.8969 0.2087
0.0172 0.0293 0.2262
0.2683 0.3344 0.0900
0.0267 0.3112 0.8235
0.2318 0.2962 0.2886
0.1257 0.6212 0.5349
0.2081 0.6541 0.3380
0.3329 0.8444 0.0154
0.3505 0.1365 0.7018
0.6128 0.0402 0.1514
0.0979 0.9714 0.5889
0.4595 0.3160 0.4142
0.5998 0.1364 0.5495
0.2882 0.6089 0.9046
0.3493 0.5598 0.7316
0.6507 0.4402 0.2684
0.7118 0.3911 0.0954
0.4002 0.8636 0.4505
0.5405 0.6840 0.5858
0.9021 0.0286 0.4111
0.3872 0.9598 0.8486
0.6495 0.8635 0.2982
0.6671 0.1556 0.9846
0.7919 0.3459 0.6620
0.8743 0.3788 0.4651
0.7682 0.7038 0.7114
0.9733 0.6888 0.1765
0.7317 0.6656 0.9100
0.9828 0.9707 0.7738
```

Stability verdict: entry 1, ahead by 65 meV per atom

Entry 1
Density functional theory data (PBE+U) for a relaxed V2P2O9 crystal.

The structure in POSCAR format:
```
V2P2O9
1.0
-5.3026 3.5320 0.1494
-1.7965 -2.9876 6.8690
6.9532 10.1748 6.2439
V P O
8 8 36
Direct
0.2500 0.8498 0.3782
0.7500 0.1502 0.6218
0.7500 0.3498 0.1218
0.2500 0.6502 0.8782
0.0000 0.5000 0.5000
0.0000 0.0000 0.0000
0.5000 0.0000 0.0000
0.5000 0.5000 0.5000
0.7500 0.8536 0.4363
0.2500 0.1464 0.5637
0.2500 0.3536 0.0637
0.7500 0.6464 0.9363
0.2500 0.8944 0.1914
0.2500 0.6056 0.6914
0.7500 0.3944 0.3086
0.7500 0.1056 0.8086
0.5547 0.0940 0.8773
0.0547 0.9060 0.1227
0.4453 0.5940 0.6227
0.9453 0.4060 0.3773
0.4453 0.9060 0.1227
0.9453 0.0940 0.8773
0.5547 0.4060 0.3773
0.0547 0.5940 0.6227
0.7500 0.8360 0.9842
0.2500 0.1640 0.0158
0.2500 0.3360 0.5158
0.7500 0.6640 0.4842
0.2500 0.6363 0.4500
0.7500 0.3637 0.5500
0.7500 0.1363 0.0500
0.2500 0.8637 0.9500
0.2500 0.7248 0.2523
0.7500 0.2752 0.7477
0.7500 0.2248 0.2477
0.2500 0.7752 0.7523
0.9457 0.6346 0.8741
0.4457 0.3654 0.1259
0.0543 0.1346 0.6259
0.5543 0.8654 0.3741
0.0543 0.3654 0.1259
0.5543 0.6346 0.8741
0.9457 0.8654 0.3741
0.4457 0.1346 0.6259
0.2500 0.0123 0.4816
0.7500 0.5348 0.2304
0.7500 0.9652 0.7304
0.2500 0.0348 0.2696
0.2500 0.4877 0.9816
0.7500 0.5123 0.0184
0.7500 0.9877 0.5184
0.2500 0.4652 0.7696
```

Entry 2
Density functional theory data (PBE+U) for a relaxed V2P2O9 crystal.

The structure in POSCAR format:
```
V2P2O9
1.0
-6.4994 -0.7644 3.9264
2.7498 -8.9151 2.8161
7.5003 6.6437 13.7087
V P O
16 16 72
Direct
0.7144 0.4992 0.4286
0.7124 0.9937 0.6782
0.2159 0.5010 0.1199
0.2153 0.9990 0.3703
0.7159 0.4990 0.1199
0.2847 0.9990 0.8703
0.2841 0.5010 0.6199
0.7856 0.4992 0.9286
0.7847 0.0010 0.8703
0.2144 0.5008 0.4286
0.7876 0.9937 0.1782
0.2856 0.5008 0.9286
0.7153 0.0010 0.3703
0.2124 0.0063 0.6782
0.7841 0.4990 0.6199
0.2876 0.0063 0.1782
0.3048 0.7937 0.0197
0.2924 0.7072 0.2747
0.2005 0.2983 0.2741
0.2076 0.7072 0.7747
0.2043 0.2099 0.0189
0.8048 0.2063 0.0197
0.7043 0.7901 0.0189
0.2995 0.2983 0.7741
0.7957 0.7901 0.5189
0.2957 0.2099 0.5189
0.7924 0.2928 0.2747
0.7995 0.7017 0.7741
0.1952 0.7937 0.5197
0.7076 0.2928 0.7747
0.6952 0.2063 0.5197
0.7005 0.7017 0.2741
0.0021 0.5154 0.6155
0.9957 0.7898 0.4925
0.2891 0.8571 0.1003
0.0037 0.5123 0.9324
0.2891 0.8684 0.4536
0.2249 0.8676 0.7740
0.7267 0.6395 0.8489
0.4957 0.2102 0.4925
0.7275 0.8612 0.2741
0.2519 0.6390 0.5234
0.4965 0.9712 0.6828
0.7828 0.3534 0.7003
0.2184 0.6516 0.3507
0.7732 0.6405 0.1989
0.4960 0.6727 0.2743
0.7172 0.3534 0.2003
0.2820 0.1419 0.5984
0.4979 0.5154 0.1155
0.7891 0.1429 0.1003
0.2275 0.1388 0.2741
0.2109 0.8684 0.9536
0.2172 0.6466 0.2003
0.3027 0.1438 0.9517
0.2828 0.6466 0.7003
0.2180 0.1419 0.0984
0.7109 0.1429 0.6003
0.4998 0.0282 0.3646
0.0043 0.2102 0.9925
0.7725 0.8612 0.7741
0.5037 0.4877 0.9324
0.9998 0.9718 0.3646
0.2553 0.3654 0.0248
0.9965 0.0288 0.6828
0.7891 0.1316 0.4536
0.7249 0.1324 0.7740
0.2816 0.6516 0.8507
0.4963 0.5123 0.4324
0.7447 0.6346 0.5248
0.8027 0.8562 0.9517
0.0035 0.9712 0.1828
0.2733 0.3605 0.3489
0.5040 0.3273 0.7743
0.1973 0.1438 0.4517
0.5035 0.0288 0.1828
0.5043 0.7898 0.9925
0.2447 0.3654 0.5248
0.7109 0.1316 0.9536
0.5021 0.4846 0.6155
0.7820 0.8581 0.5984
0.7733 0.6395 0.3489
0.2751 0.8676 0.2740
0.2267 0.3605 0.8489
0.2725 0.1388 0.7741
0.2268 0.3595 0.6989
0.2732 0.3595 0.1989
0.9960 0.3273 0.2743
0.0040 0.6727 0.7743
0.7180 0.8581 0.0984
0.7184 0.3484 0.3507
0.9979 0.4846 0.1155
0.7268 0.6405 0.6989
0.7519 0.3610 0.5234
0.7816 0.3484 0.8507
0.5002 0.9718 0.8646
0.6973 0.8562 0.4517
0.7481 0.3610 0.0234
0.9963 0.4877 0.4324
0.2481 0.6390 0.0234
0.7751 0.1324 0.2740
0.7553 0.6346 0.0248
0.2109 0.8571 0.6003
0.0002 0.0282 0.8646
```

Stability verdict: entry 2, ahead by 16 meV per atom